--- A ---
## CaAl2Si2H4O10 (PBE-GGA)

Data for crystalline CaAl2Si2H4O10 at its relaxed geometry.

Calculated values
As for the magnetization: 0.0 μB/cell. Its mass density is 3.01 g cm⁻³.

Unit cell a=13.1755 b=8.8440 c=5.9489 alpha=90.00 beta=90.00 gamma=90.00
Last column: nearest neighbours and their distance in Å.
Sites, in units of the cell vectors:
Ca 0.2481 0.0828 0.0000  6 O 2.37-2.51
Ca 0.2519 0.5828 0.5000  6 O 2.37-2.51
Ca 0.7481 0.4172 0.0000  6 O 2.37-2.51
Ca 0.7519 0.9172 0.5000  6 O 2.37-2.51
Al 0.0009 0.9995 0.2633  6 O 1.90-2.02
Al 0.0019 0.4963 0.7698  6 O 1.90-1.98
Al 0.4981 0.9963 0.2698  6 O 1.90-1.98
Al 0.4991 0.4995 0.7633  6 O 1.90-2.02
Al 0.5009 0.5005 0.2633  6 O 1.90-2.02
Al 0.5019 0.0037 0.7698  6 O 1.90-1.98
Al 0.9981 0.5037 0.2698  6 O 1.90-1.98
Al 0.9991 0.0005 0.7633  6 O 1.90-2.02
Si 0.1313 0.2285 0.5134  4 O 1.63-1.67
Si 0.1343 0.7258 0.0170  4 O 1.63-1.67
Si 0.3657 0.2258 0.5170  4 O 1.63-1.67
Si 0.3687 0.7285 0.0134  4 O 1.63-1.67
Si 0.6313 0.2715 0.5134  4 O 1.63-1.67
Si 0.6343 0.7742 0.0170  4 O 1.63-1.67
Si 0.8657 0.2742 0.5170  4 O 1.63-1.67
Si 0.8687 0.7715 0.0134  4 O 1.63-1.67
H 0.0235 0.7815 0.5154  1 O 1.00
H 0.1058 0.3339 0.0416  1 O 0.98
H 0.1696 0.8772 0.5218  1 O 1.02
H 0.2234 0.4445 0.9443  1 O 0.98
H 0.2766 0.9445 0.4443  1 O 0.98
H 0.3304 0.3772 0.0218  1 O 1.02
H 0.3942 0.8339 0.5416  1 O 0.98
H 0.4765 0.2815 0.0154  1 O 1.00
H 0.5235 0.7185 0.5154  1 O 1.00
H 0.6058 0.1661 0.0416  1 O 0.98
H 0.6696 0.6228 0.5218  1 O 1.02
H 0.7234 0.0555 0.9443  1 O 0.98
H 0.7766 0.5555 0.4443  1 O 0.98
H 0.8304 0.1228 0.0218  1 O 1.02
H 0.8942 0.6661 0.5416  1 O 0.98
H 0.9765 0.2185 0.0154  1 O 1.00
O 0.0387 0.3791 0.0260  1 H 0.98
O 0.0499 0.8880 0.5153  1 H 1.00
O 0.0626 0.3862 0.5135  1 Si 1.66
O 0.0657 0.8834 0.0092  1 Si 1.66
O 0.1143 0.1289 0.7410  1 Si 1.63
O 0.1169 0.6255 0.2439  1 Si 1.63
O 0.1182 0.1265 0.2861  1 Si 1.63
O 0.1256 0.6130 0.7981  1 Si 1.64
O 0.2462 0.8602 0.5270  2 H 0.98-1.02
O 0.2487 0.2991 0.5225  2 Si 1.67
O 0.2513 0.7991 0.0225  2 Si 1.67
O 0.2538 0.3602 0.0270  2 H 0.98-1.02
O 0.3744 0.1130 0.2981  1 Si 1.64
O 0.3818 0.6265 0.7861  1 Si 1.63
O 0.3831 0.1255 0.7439  1 Si 1.63
O 0.3857 0.6289 0.2410  1 Si 1.63
O 0.4343 0.3834 0.5092  1 Si 1.66
O 0.4374 0.8862 0.0135  1 Si 1.66
O 0.4501 0.3880 0.0153  1 H 1.00
O 0.4613 0.8791 0.5260  1 H 0.98
O 0.5387 0.1209 0.0260  1 H 0.98
O 0.5499 0.6120 0.5153  1 H 1.00
O 0.5626 0.1138 0.5135  1 Si 1.66
O 0.5657 0.6166 0.0092  1 Si 1.66
O 0.6143 0.3711 0.7410  1 Si 1.63
O 0.6169 0.8745 0.2439  1 Si 1.63
O 0.6182 0.3735 0.2861  1 Si 1.63
O 0.6256 0.8870 0.7981  1 Si 1.64
O 0.7462 0.6398 0.5270  2 H 0.98-1.02
O 0.7487 0.2009 0.5225  2 Si 1.67
O 0.7513 0.7009 0.0225  2 Si 1.67
O 0.7538 0.1398 0.0270  2 H 0.98-1.02
O 0.8744 0.3870 0.2981  1 Si 1.64
O 0.8818 0.8735 0.7861  1 Si 1.63
O 0.8831 0.3745 0.7439  1 Si 1.63
O 0.8857 0.8711 0.2410  1 Si 1.63
O 0.9343 0.1166 0.5092  1 Si 1.66
O 0.9374 0.6138 0.0135  1 Si 1.66
O 0.9501 0.1120 0.0153  1 H 1.00
O 0.9613 0.6209 0.5260  1 H 0.98



--- B ---
## CaAl2Si2H4O10 (PBE-GGA)

Data for crystalline CaAl2Si2H4O10 at its relaxed geometry.

Calculated values
As for the magnetization: 0.0 μB/cell. Its mass density is 2.51 g cm⁻³.

Unit cell a=5.8040 b=5.8040 c=14.0663 alpha=90.00 beta=90.00 gamma=118.79
Last column: nearest neighbours and their distance in Å.
Sites, in units of the cell vectors:
Ca 0.1030 0.8970 0.7500  5 O 2.37-2.57
Ca 0.8970 0.1030 0.2500  5 O 2.37-2.57
Al 0.0000 0.5000 0.0000  6 O 1.91-2.05
Al 0.0000 0.5000 0.5000  6 O 1.91-2.05
Al 0.5000 0.0000 0.0000  6 O 1.91-2.05
Al 0.5000 0.0000 0.5000  6 O 1.91-2.05
Si 0.2426 0.7574 0.1496  4 O 1.63-1.67
Si 0.2426 0.7574 0.3504  4 O 1.63-1.67
Si 0.7574 0.2426 0.6496  4 O 1.63-1.67
Si 0.7574 0.2426 0.8504  4 O 1.63-1.67
H 0.3324 0.6676 0.6126  1 O 0.97
H 0.3324 0.6676 0.8874  1 O 0.97
H 0.4824 0.5176 0.6945  1 O 0.98
H 0.4824 0.5176 0.8055  1 O 0.98
H 0.5176 0.4824 0.1945  1 O 0.98
H 0.5176 0.4824 0.3055  1 O 0.98
H 0.6676 0.3324 0.1126  1 O 0.97
H 0.6676 0.3324 0.3874  1 O 0.97
O 0.0942 0.4392 0.1344  1 Si 1.63
O 0.0942 0.4392 0.3656  1 Si 1.63
O 0.1459 0.8541 0.0540  1 Si 1.66
O 0.1459 0.8541 0.4460  1 Si 1.66
O 0.1543 0.8457 0.2500  2 Si 1.67
O 0.3527 0.6473 0.5450  1 H 0.97
O 0.3527 0.6473 0.9550  1 H 0.97
O 0.4231 0.5769 0.7500  2 H 0.98
O 0.4392 0.0942 0.6344  1 Si 1.63
O 0.4392 0.0942 0.8656  1 Si 1.63
O 0.5608 0.9058 0.1344  1 Si 1.63
O 0.5608 0.9058 0.3656  1 Si 1.63
O 0.5769 0.4231 0.2500  2 H 0.98
O 0.6473 0.3527 0.0450  1 H 0.97
O 0.6473 0.3527 0.4550  1 H 0.97
O 0.8457 0.1543 0.7500  2 Si 1.67
O 0.8541 0.1459 0.5540  1 Si 1.66
O 0.8541 0.1459 0.9460  1 Si 1.66
O 0.9058 0.5608 0.6344  1 Si 1.63
O 0.9058 0.5608 0.8656  1 Si 1.63



Stability verdict: A, ahead by 0.172 eV/atom